Na3U6TiF30: relaxed, meta-GGA r2SCAN.

a = 9.8745 Å, b = 9.8745 Å, c = 12.9449 Å
α = 90.00°, β = 90.00°, γ = 120.00°
With the nearest neighbours (Å) after each atom.
Sites, in units of the cell vectors:
Ti 0.0000 0.0000 0.2500  6 F 1.93
U 0.4022 0.3267 0.8987  9 F 2.25-2.42
F 0.5115 0.3386 0.3634  2 U 2.29-2.31
U 0.6733 0.0755 0.8987  9 F 2.25-2.42
F 0.1322 0.6974 0.7838  1 Na 2.26, 2 U 2.32-2.41, 1 F 2.43
F 0.6614 0.4885 0.8634  2 U 2.29-2.31
U 0.0755 0.4022 0.1013  9 F 2.25-2.42
U 0.3267 0.9245 0.1013  9 F 2.25-2.42
F 0.9203 0.1019 0.3378  1 Ti 1.93
U 0.5978 0.9245 0.6013  9 F 2.25-2.42
F 0.4665 0.8785 0.4483  2 U 2.29-2.42, 1 Na 2.33, 1 F 2.53
F 0.5335 0.1215 0.5517  2 U 2.29-2.42, 1 Na 2.33, 1 F 2.53
U 0.6733 0.5978 0.3987  9 F 2.25-2.42
Ti 0.0000 0.0000 0.7500  6 F 1.93
F 0.8077 0.1139 0.5185  2 U 2.25-2.39
Na 0.3333 0.6667 0.3375  6 F 2.26-2.33
F 0.1019 0.9203 0.1621  1 Ti 1.93
F 0.1019 0.1816 0.6621  1 Ti 1.93
F 0.1215 0.5335 0.9483  2 U 2.29-2.42, 1 Na 2.33, 1 F 2.53
Na 0.6667 0.3333 0.1625  6 F 2.26-2.33
F 0.8785 0.4120 0.5517  2 U 2.29-2.42, 1 Na 2.33, 1 F 2.53
Na 0.6667 0.3333 0.6625  6 F 2.26-2.33
F 0.8077 0.6938 0.0185  2 U 2.25-2.39
F 0.8271 0.4884 0.3634  2 U 2.29-2.31
Na 0.0000 0.0000 0.5000  12 F 2.61-2.66
F 0.9203 0.8183 0.8379  1 Ti 1.93
F 0.6938 0.8077 0.4815  2 U 2.25-2.39
F 0.1923 0.8861 0.4815  2 U 2.25-2.39
F 0.1816 0.1019 0.8379  1 Ti 1.93
F 0.3062 0.1139 0.0185  2 U 2.25-2.39
F 0.5651 0.8677 0.7838  1 Na 2.26, 2 U 2.32-2.41, 1 F 2.43
F 0.1923 0.3062 0.9815  2 U 2.25-2.39
F 0.5880 0.1215 0.0517  2 U 2.29-2.42, 1 Na 2.33, 1 F 2.53
F 0.4349 0.3026 0.7162  1 Na 2.26, 2 U 2.32-2.41, 1 F 2.43
F 0.8183 0.9203 0.6621  1 Ti 1.93
F 0.6974 0.5651 0.2162  1 Na 2.26, 2 U 2.32-2.41, 1 F 2.43
U 0.0755 0.6733 0.6013  9 F 2.25-2.42
F 0.1139 0.3062 0.4815  2 U 2.25-2.39
F 0.8861 0.6938 0.5185  2 U 2.25-2.39
F 0.3026 0.4349 0.7838  1 Na 2.26, 2 U 2.32-2.41, 1 F 2.43
F 0.4665 0.5880 0.9483  2 U 2.29-2.42, 1 Na 2.33, 1 F 2.53
F 0.8785 0.4665 0.0517  2 U 2.29-2.42, 1 Na 2.33, 1 F 2.53
U 0.9245 0.3267 0.3987  9 F 2.25-2.42
F 0.8861 0.1923 0.0185  2 U 2.25-2.39
F 0.1322 0.4348 0.2838  1 Na 2.26, 2 U 2.32-2.41, 1 F 2.43
F 0.8677 0.5651 0.7162  1 Na 2.26, 2 U 2.32-2.41, 1 F 2.43
F 0.3062 0.1923 0.5185  2 U 2.25-2.39
F 0.4120 0.5335 0.4483  2 U 2.29-2.42, 1 Na 2.33, 1 F 2.53
F 0.1729 0.5115 0.6366  2 U 2.29-2.31
F 0.5651 0.6974 0.2838  1 Na 2.26, 2 U 2.32-2.41, 1 F 2.43
F 0.8981 0.0797 0.8379  1 Ti 1.93
F 0.4885 0.6614 0.6366  2 U 2.29-2.31
F 0.1139 0.8077 0.9815  2 U 2.25-2.39
F 0.8270 0.3386 0.8634  2 U 2.28-2.31
F 0.0797 0.8981 0.6621  1 Ti 1.93
Na 0.3333 0.6667 0.8375  6 F 2.26-2.33
F 0.3386 0.8271 0.6366  2 U 2.28-2.31
F 0.4885 0.8270 0.1366  2 U 2.29-2.31
F 0.1816 0.0797 0.3378  1 Ti 1.93
U 0.5978 0.6733 0.1013  9 F 2.25-2.42
F 0.1215 0.5880 0.4483  2 U 2.29-2.42, 1 Na 2.33, 1 F 2.53
F 0.6974 0.1323 0.7162  1 Na 2.26, 2 U 2.32-2.41, 1 F 2.43
F 0.5336 0.4120 0.0517  2 U 2.29-2.42, 1 Na 2.33, 1 F 2.53
F 0.8677 0.3026 0.2162  1 Na 2.26, 2 U 2.32-2.41, 1 F 2.43
F 0.4120 0.8785 0.9483  2 U 2.29-2.42, 1 Na 2.33, 1 F 2.53
U 0.4022 0.0755 0.3987  9 F 2.25-2.42
F 0.8981 0.8184 0.3378  1 Ti 1.93
F 0.4349 0.1323 0.2162  1 Na 2.26, 2 U 2.32-2.41, 1 F 2.43
F 0.0797 0.1816 0.1622  1 Ti 1.93
F 0.1729 0.6614 0.1366  2 U 2.29-2.31
F 0.5116 0.1730 0.8634  2 U 2.28-2.31
Na 0.0000 0.0000 0.0000  12 F 2.61-2.66
F 0.5880 0.4665 0.5517  2 U 2.29-2.42, 1 Na 2.33, 1 F 2.53
F 0.8184 0.8981 0.1621  1 Ti 1.93
F 0.3026 0.8677 0.2838  1 Na 2.26, 2 U 2.32-2.41, 1 F 2.43
U 0.9245 0.5978 0.8987  9 F 2.25-2.42
F 0.3386 0.5115 0.1366  2 U 2.29-2.31
U 0.3267 0.4022 0.6013  9 F 2.25-2.42
F 0.6938 0.8861 0.9815  2 U 2.25-2.39
F 0.6614 0.1730 0.3634  2 U 2.29-2.31

Results
- Crystal system: trigonal
- Energy of formation: -155.25 eV/f.u.
- Final energy: -1504.64 eV/cell
- Density: 6.43 Mg/m³

NaU2F9: relaxed, meta-GGA r2SCAN.

a = 6.7096 Å, b = 6.7096 Å, c = 8.6474 Å
α = 78.78°, β = 78.78°, γ = 62.68°
With the nearest neighbours (Å) after each atom.
Sites, in units of the cell vectors:
F 0.1850 0.5259 0.4683  2 U 2.32-2.35, 1 Na 2.37, 1 F 2.60
F 0.2204 0.1274 0.4552  2 U 2.28-2.32
F 0.0847 0.9149 0.2507  2 U 2.25
Na 0.5832 0.3740 0.4033  6 F 2.33-2.42
F 0.4656 0.8196 0.0273  2 U 2.33-2.34, 1 Na 2.42, 3 F 2.55-2.60
F 0.9154 0.3763 0.2412  2 U 2.33-2.36, 1 Na 2.40, 2 F 2.53-2.55
F 0.1274 0.2204 0.9552  2 U 2.28-2.32
Na 0.3740 0.5832 0.9033  6 F 2.33-2.42
F 0.4754 0.2458 0.6678  2 U 2.30-2.42, 1 Na 2.38, 1 F 2.53
F 0.6160 0.0884 0.2703  1 Na 2.33, 2 U 2.34-2.38, 1 F 2.53
U 0.7059 0.8902 0.8124  9 F 2.25-2.42
U 0.1088 0.2942 0.6885  9 F 2.25-2.41
F 0.0884 0.6160 0.7703  1 Na 2.33, 2 U 2.34-2.38, 1 F 2.53
F 0.3763 0.9154 0.7412  2 U 2.33-2.36, 1 Na 2.40, 2 F 2.53-2.55
F 0.5323 0.7480 0.3212  2 U 2.27-2.41, 1 Na 2.35, 1 F 2.53
F 0.9149 0.0847 0.7507  2 U 2.25
F 0.5259 0.1850 0.9683  2 U 2.32-2.35, 1 Na 2.37, 1 F 2.60
U 0.8902 0.7059 0.3124  9 F 2.25-2.42
F 0.8711 0.7881 0.0450  2 U 2.28-2.32
F 0.2458 0.4754 0.1678  2 U 2.30-2.42, 1 Na 2.38, 1 F 2.53
U 0.2942 0.1088 0.1885  9 F 2.25-2.41
F 0.7480 0.5323 0.8212  2 U 2.27-2.41, 1 Na 2.35, 1 F 2.53
F 0.7881 0.8711 0.5450  2 U 2.28-2.32
F 0.8196 0.4656 0.5273  2 U 2.33-2.34, 1 Na 2.42, 3 F 2.55-2.60

Results
- Crystal system: monoclinic
- Energy of formation: -46.79 eV/f.u.
- Final energy: -476.75 eV/cell
- Density: 6.61 Mg/m³

NaUF6: relaxed, meta-GGA r2SCAN.

a = 6.1242 Å, b = 6.1242 Å, c = 6.1242 Å
α = 60.00°, β = 60.00°, γ = 60.00°
With the nearest neighbours (Å) after each atom.
Sites, in units of the cell vectors:
U 0.0000 0.0000 0.0000  6 F 2.08
F 0.7603 0.7603 0.2397  1 U 2.08, 1 Na 2.25
F 0.7603 0.2397 0.2397  1 U 2.08, 1 Na 2.25
Na 0.5000 0.5000 0.5000  6 F 2.25
F 0.2397 0.7603 0.2397  1 U 2.08, 1 Na 2.25
F 0.2397 0.7603 0.7603  1 U 2.08, 1 Na 2.25
F 0.7603 0.2397 0.7603  1 U 2.08, 1 Na 2.25
F 0.2397 0.2397 0.7603  1 U 2.08, 1 Na 2.25

Results
- Crystal system: cubic
- Energy of formation: -29.34 eV/f.u.
- Final energy: -131.61 eV/cell
- Density: 3.83 Mg/m³

Na2UF6: relaxed, meta-GGA r2SCAN.

a = 6.0595 Å, b = 6.0595 Å, c = 7.1352 Å
α = 90.00°, β = 90.00°, γ = 120.00°
With the nearest neighbours (Å) after each atom.
Sites, in units of the cell vectors:
U 0.3333 0.6667 0.8574  9 F 2.21-2.39
U 0.6667 0.3333 0.1444  9 F 2.22-2.40
F 0.0898 0.3871 0.6426  1 U 2.21, 2 Na 2.32-2.42
Na 0.6666 0.3333 0.6281  9 F 2.42-2.52
F 0.3107 0.9151 0.1097  2 Na 2.27-2.47, 2 U 2.38-2.39
F 0.0850 0.3957 0.1097  2 Na 2.27-2.47, 2 U 2.38-2.39
F 0.6044 0.6893 0.1097  2 Na 2.27-2.47, 2 U 2.38-2.39
F 0.2974 0.9102 0.6426  1 U 2.21, 2 Na 2.32-2.42
Na 0.3334 0.6667 0.3753  9 F 2.46-2.49
F 0.6129 0.7026 0.6426  1 U 2.21, 2 Na 2.32-2.42
Na 0.0000 0.0000 0.0245  6 F 2.27-2.33
Na 0.0000 0.0000 0.5114  6 F 2.32-2.35
F 0.9166 0.6130 0.8948  2 Na 2.33-2.49, 2 U 2.39-2.40, 1 F 2.54
F 0.9066 0.6205 0.3568  1 U 2.22, 2 Na 2.35-2.46
F 0.3870 0.3037 0.8948  2 Na 2.33-2.49, 2 U 2.39-2.40, 1 F 2.54
F 0.6963 0.0834 0.8948  2 Na 2.33-2.49, 2 U 2.39-2.40, 1 F 2.54
F 0.7138 0.0934 0.3567  1 U 2.22, 2 Na 2.35-2.46
F 0.3795 0.2862 0.3568  1 U 2.22, 2 Na 2.35-2.46

Results
- Crystal system: trigonal
- Energy of formation: -32.66 eV/f.u.
- Final energy: -276.97 eV/cell
- Density: 5.83 Mg/m³

Na2UF6: relaxed, meta-GGA r2SCAN.

a = 6.5266 Å, b = 6.5268 Å, c = 6.5268 Å
α = 144.08°, β = 130.40°, γ = 62.75°
With the nearest neighbours (Å) after each atom.
Sites, in units of the cell vectors:
F 0.4032 0.1557 0.2475  1 U 2.20, 3 Na 2.37-2.45
F 0.7694 0.5000 0.2694  2 U 2.38, 2 Na 2.40, 5 F 2.53-2.66
F 0.2306 0.5000 0.7306  2 U 2.38, 2 Na 2.40, 5 F 2.53-2.66
F 0.5968 0.8443 0.7525  1 U 2.20, 3 Na 2.37-2.45
U 0.0000 0.0000 0.0000  8 F 2.20-2.38
Na 0.3301 0.3301 0.0000  8 F 2.37-2.45
Na 0.6699 0.6699 0.0000  8 F 2.37-2.45
F 0.0918 0.8444 0.2475  1 U 2.20, 3 Na 2.37-2.45
F 0.9082 0.1556 0.7525  1 U 2.20, 3 Na 2.37-2.45

Results
- Crystal system: orthorhombic
- Energy of formation: -32.56 eV/f.u.
- Final energy: -138.39 eV/cell
- Density: 5.38 Mg/m³

Na2UF6: relaxed, meta-GGA r2SCAN.

a = 6.6325 Å, b = 6.6325 Å, c = 6.8691 Å
α = 80.57°, β = 80.57°, γ = 120.74°
With the nearest neighbours (Å) after each atom.
Sites, in units of the cell vectors:
F 0.5294 0.6861 0.8820  2 U 2.35-2.39, 2 Na 2.43, 1 F 2.52
U 0.4098 0.5902 0.2500  8 F 2.19-2.39
Na 0.7555 0.2445 0.2500  8 F 2.39-2.43
F 0.8584 0.3677 0.8777  1 U 2.23, 3 Na 2.37-2.42
F 0.2273 0.0650 0.8733  1 U 2.19, 3 Na 2.39-2.44
F 0.6861 0.5294 0.3820  2 U 2.35-2.39, 2 Na 2.43, 1 F 2.52
F 0.3677 0.8584 0.3777  1 U 2.23, 3 Na 2.37-2.42
Na 0.9162 0.0838 0.7500  8 F 2.37-2.44
F 0.0650 0.2273 0.3733  1 U 2.19, 3 Na 2.39-2.44
F 0.6323 0.1416 0.6223  1 U 2.23, 3 Na 2.37-2.42
F 0.3139 0.4706 0.6180  2 U 2.35-2.39, 2 Na 2.43, 1 F 2.52
Na 0.2445 0.7555 0.7500  8 F 2.39-2.43
F 0.4706 0.3139 0.1180  2 U 2.35-2.39, 2 Na 2.43, 1 F 2.52
F 0.7727 0.9350 0.1267  1 U 2.19, 3 Na 2.39-2.44
U 0.5902 0.4098 0.7500  8 F 2.19-2.39
Na 0.0838 0.9162 0.2500  8 F 2.37-2.44
F 0.9350 0.7727 0.6267  1 U 2.19, 3 Na 2.39-2.44
F 0.1416 0.6323 0.1223  1 U 2.23, 3 Na 2.37-2.42

Results
- Crystal system: monoclinic
- Energy of formation: -32.50 eV/f.u.
- Final energy: -276.64 eV/cell
- Density: 5.39 Mg/m³